Entry 1:
# CsIn3H6Se6O20

A relaxed structure of CsIn3H6Se6O20 (GGA-PBE, Materials Project).

Summary:
- final energy (eV per atom) = -5.2460
- M_tot (μB/f.u.) = 0.00
- SG = Pnma

Geometry as extended XYZ:
```
144
Lattice="0.000 0.000 -9.803 0.000 -13.432 0.000 -16.964 0.000 0.000" Properties=species:S:1:pos:R:3 pbc="T T T"
Cs -4.603 -3.358 -4.568
H -8.133 -1.345 -5.933
O -4.315 -0.052 -0.971
O -14.400 -1.123 -7.275
O -6.450 -2.076 -2.378
H -3.190 -7.323 -1.904
H -11.672 -12.824 -2.998
O -4.315 -6.664 -0.971
O -6.248 -8.784 -1.163
Se -4.943 -7.935 -4.819
H -13.774 -6.109 -7.899
O -5.919 -5.593 -7.429
O -10.834 -4.948 -3.855
O -8.487 -0.488 -7.365
O -8.133 -10.074 -7.496
O -15.668 -5.908 -5.017
O -10.514 -8.792 -7.425
O -16.959 -12.944 -2.464
In -10.580 -13.428 -8.041
Cs -12.361 -10.074 -5.235
In -16.023 -10.074 -9.249
O -2.032 -8.792 -7.279
Se -7.055 -6.738 -8.194
In -10.580 -6.719 -8.041
H -15.816 -1.327 -0.362
In -14.866 -0.003 -3.140
O -14.400 -5.593 -7.275
In -0.941 -3.358 -0.554
In -6.384 -0.003 -1.761
H -7.334 -1.327 -4.539
H -0.349 -12.087 -1.031
O -2.642 -6.628 -8.767
O -12.797 -0.052 -3.930
H -9.630 -8.043 -5.263
Se -1.290 -3.358 -6.740
O -0.349 -3.358 -2.594
O -11.124 -6.628 -5.938
Se -15.674 -10.074 -3.063
O -6.633 -10.074 -3.484
O -4.167 -6.768 -5.873
H -13.774 -0.607 -7.899
O -10.834 -1.768 -3.855
O -1.296 -7.524 -4.786
O -8.477 -7.203 -2.437
O -12.797 -6.664 -3.930
O -6.450 -4.639 -2.378
O -2.352 -4.948 -1.047
O -16.615 -10.074 -7.209
Se -15.757 -3.358 -3.348
O -1.296 -12.624 -4.786
Se -12.021 -1.220 -4.984
Se -9.689 -10.074 -8.250
Se -13.425 -7.935 -0.083
O -1.849 -3.358 -8.385
Se -1.207 -10.074 -6.455
O -2.234 -4.648 -6.065
Se -7.192 -10.074 -1.839
O -10.716 -2.068 -8.639
H -16.615 -1.345 -8.771
O -10.514 -11.355 -7.425
O -6.130 -8.483 -5.948
O -4.167 -13.380 -5.873
O -14.612 -11.664 -8.756
O -14.730 -8.784 -3.738
O -9.054 -8.596 -4.687
H -8.133 -5.371 -5.933
O -14.322 -13.344 -1.036
Se -3.539 -5.496 -9.720
H -8.831 -8.061 -3.870
Se -9.909 -0.022 -1.609
Se -1.427 -0.022 -3.293
O -10.331 -3.358 -6.319
O -2.032 -11.355 -7.279
H -11.672 -7.323 -2.998
O -0.572 -11.551 -0.215
O -15.115 -10.074 -1.418
O -9.054 -11.551 -4.687
O -15.668 -0.808 -5.017
O -7.186 -5.908 -9.687
O -12.649 -6.768 -8.831
O -5.840 -6.804 -3.865
In -6.384 -6.712 -1.761
O -2.563 -7.839 -2.528
Se -13.425 -12.212 -0.083
H -3.190 -12.824 -1.904
O -7.910 -1.880 -5.116
H -8.831 -12.087 -3.870
Se -4.943 -12.212 -4.819
O -11.045 -12.308 -2.374
O -0.572 -8.596 -0.215
O -14.612 -8.483 -8.756
O -8.487 -6.228 -7.365
Se -15.537 -13.410 -6.510
O -9.778 -12.624 -0.116
Se -7.275 -3.358 -1.553
O -11.124 -0.088 -5.938
O -9.778 -7.524 -0.116
Se -15.537 -6.738 -6.510
Se -9.909 -6.694 -1.609
O -8.477 -12.944 -2.437
H -5.292 -6.109 -6.805
O -11.045 -7.839 -2.374
O -14.730 -11.364 -3.738
In -7.541 -10.074 -5.455
O -2.352 -1.768 -1.047
O -2.234 -2.068 -6.065
O -0.005 -0.488 -7.339
Se -3.539 -1.220 -9.720
H -1.148 -8.043 -9.441
Se -9.772 -3.358 -7.964
O -16.392 -1.880 -9.588
O -14.932 -4.639 -2.524
Cs -13.085 -3.358 -0.333
In -14.866 -6.712 -3.140
Cs -3.879 -10.074 -9.469
H -7.334 -5.389 -4.539
H -5.292 -0.607 -6.805
O -5.919 -1.123 -7.429
O -12.649 -13.380 -8.831
H -9.630 -12.105 -5.263
O -0.005 -6.228 -7.339
O -8.831 -3.358 -2.307
Se -12.021 -5.496 -4.984
O -2.563 -12.308 -2.528
O -10.716 -4.648 -8.639
In -2.098 -6.719 -6.663
O -14.322 -6.804 -1.036
O -6.248 -11.364 -1.163
O -16.392 -4.835 -9.588
Se -1.427 -6.694 -3.293
Se -7.055 -13.410 -8.194
O -7.186 -0.808 -9.687
H -0.349 -8.061 -1.031
O -14.932 -2.076 -2.524
O -5.840 -13.344 -3.865
H -15.816 -5.389 -0.362
O -16.959 -7.203 -2.464
In -2.098 -13.428 -6.663
In -9.423 -3.358 -4.348
H -1.148 -12.105 -9.441
O -7.910 -4.835 -5.116
O -6.130 -11.664 -5.948
O -2.642 -0.088 -8.767
H -16.615 -5.371 -8.771
```

Entry 2:
# Ba6MgNb2IrCl2O12

A relaxed structure of Ba6MgNb2IrCl2O12 (GGA-PBE, Materials Project).

Summary:
- offset from the most stable computed form (meV per atom) = 23
- final energy (eV per atom) = -6.8231
- M_tot (μB/f.u.) = 0.91
- SG = Cm

Geometry as extended XYZ:
```
24
Lattice="-3.190 -2.876 -4.171 2.672 -3.112 4.361 -11.409 1.314 10.302" Properties=species:S:1:pos:R:3 pbc="T T T"
O -8.704 -1.871 12.425
O -3.131 -4.250 2.831
O -3.451 -2.792 -2.255
O -2.858 -1.093 2.731
O -1.792 -1.270 -0.020
Ba -8.204 -1.999 9.768
Mg -3.119 -2.624 3.935
O -9.396 -3.494 7.422
O -1.485 -2.731 5.027
Ba -4.018 -2.660 0.357
O -2.065 -4.432 0.081
Nb -12.394 -1.811 4.272
Cl -6.582 -2.375 2.354
Ba -2.369 -2.572 7.614
Ba -0.074 -2.956 1.782
O -10.414 -3.442 10.151
Cl -5.394 -2.285 8.415
O -10.132 -0.177 10.047
Nb 0.415 -2.874 5.691
O -10.723 -1.927 5.174
Ba -8.215 -2.132 5.548
Ir 2.539 -3.106 4.184
O -9.135 -0.472 7.326
Ba -11.773 -1.745 8.050
```

Entry 3:
# LiMg2

A relaxed structure of LiMg2 (GGA-PBE, Materials Project).

Summary:
- final energy (eV per atom) = -1.7300
- SG = R32

Geometry as extended XYZ:
```
6
Lattice="5.210 -2.754 0.000 5.210 2.754 0.000 3.754 0.000 4.543" Properties=species:S:1:pos:R:3 pbc="T T T"
Mg 4.728 1.841 1.506
Li 2.357 0.000 0.756
Mg 4.237 -0.913 3.037
Li 11.817 0.000 3.788
Mg 5.210 -0.928 0.000
Mg 7.087 0.000 2.272
```

Entry 4:
# NbCrW

A relaxed structure of NbCrW (GGA-PBE, Materials Project).

Summary:
- final energy (eV per atom) = -9.8911
- M_tot (μB/f.u.) = 0.86
- SG = F-43m

Geometry as extended XYZ:
```
3
Lattice="2.202 2.084 3.053 -1.965 1.185 3.640 0.949 -1.981 3.700" Properties=species:S:1:pos:R:3 pbc="T T T"
W 0.593 0.644 5.196
Nb 0.889 0.966 7.794
Cr 0.296 0.322 2.598
```

Entry 5:
# ZrV2Ga4

A relaxed structure of ZrV2Ga4 (GGA-PBE, Materials Project).

Summary:
- final energy (eV per atom) = -5.9468
- SG = I4/mmm

Geometry as extended XYZ:
```
7
Lattice="0.000 0.000 -5.208 -3.245 -3.245 -2.604 -3.245 3.245 -2.604" Properties=species:S:1:pos:R:3 pbc="T T T"
V -3.245 0.000 -6.510
V -3.245 0.000 -3.906
Ga -1.280 -1.280 -2.604
Zr 0.000 0.000 0.000
Ga -1.280 1.280 -2.604
Ga -1.965 -1.965 -5.208
Ga -1.965 1.965 -5.208
```

Entry 6:
# K2RbNbF6

A relaxed structure of K2RbNbF6 (GGA-PBE, Materials Project).

Summary:
- final energy (eV per atom) = -5.1196
- M_tot (μB/f.u.) = 1.99
- SG = Fm-3m

Geometry as extended XYZ:
```
10
Lattice="0.000 4.735 4.735 4.735 0.000 4.735 4.735 4.735 0.000" Properties=species:S:1:pos:R:3 pbc="T T T"
Nb 0.000 0.000 0.000
Rb 4.735 4.735 4.735
F 4.735 4.735 7.365
F 4.735 2.105 4.735
K 7.102 7.102 7.102
F 7.365 4.735 4.735
F 4.735 4.735 2.105
F 4.735 7.365 4.735
K 2.367 2.367 2.367
F 2.105 4.735 4.735
```

Entry 7:
# KCaNdP2O8

A relaxed structure of KCaNdP2O8 (GGA-PBE, Materials Project).

Summary:
- final energy (eV per atom) = -7.3130
- M_tot (μB/f.u.) = 0.00
- SG = P6_4

Geometry as extended XYZ:
```
39
Lattice="3.546 -6.141 0.000 3.546 6.141 0.000 0.000 0.000 12.901" Properties=species:S:1:pos:R:3 pbc="T T T"
O 2.951 3.446 6.554
Ca 3.546 0.000 2.126
K 0.000 0.000 11.790
O 2.635 -0.832 6.363
O 2.623 0.824 4.470
O 2.023 1.855 8.431
O 4.456 0.832 6.363
O 2.632 0.833 10.855
O 5.053 -1.866 2.062
O 2.951 -3.461 4.131
O 4.468 -0.824 4.470
O 2.038 1.866 2.062
O 4.140 -3.446 6.554
P 3.546 0.000 11.801
Nd 1.773 3.071 4.324
O 5.054 1.863 2.254
O 2.025 -1.859 8.770
P 1.773 3.071 1.106
P 1.773 -3.071 9.707
O 4.143 3.443 10.663
O 5.068 -1.855 8.431
O 4.143 -3.458 0.170
O 5.066 1.859 8.770
O 4.141 3.461 4.131
K 0.000 0.000 7.490
Ca 1.773 3.071 10.727
O 2.037 -1.863 2.254
O 4.459 -0.833 10.855
P 1.773 -3.071 3.200
O 4.473 0.825 12.732
O 2.948 3.458 0.170
P 3.546 0.000 5.407
O 2.948 -3.443 10.663
K 0.000 0.000 3.189
P 1.773 3.071 7.500
Ca 1.773 -3.071 6.426
O 2.618 -0.825 12.732
Nd 1.773 -3.071 0.023
Nd 3.546 0.000 8.624
```

> Which value of final energy does entry 1 give?

-5.2460 eV per atom

> Which of these has the lowest final energy?

NbCrW

> Number 5 is which compound?

ZrV2Ga4

Repeat the fifth record exactly.
# ZrV2Ga4

A relaxed structure of ZrV2Ga4 (GGA-PBE, Materials Project).

Summary:
- final energy (eV per atom) = -5.9468
- SG = I4/mmm

Geometry as extended XYZ:
```
7
Lattice="0.000 0.000 -5.208 -3.245 -3.245 -2.604 -3.245 3.245 -2.604" Properties=species:S:1:pos:R:3 pbc="T T T"
V -3.245 0.000 -6.510
V -3.245 0.000 -3.906
Ga -1.280 -1.280 -2.604
Zr 0.000 0.000 0.000
Ga -1.280 1.280 -2.604
Ga -1.965 -1.965 -5.208
Ga -1.965 1.965 -5.208
```